VASP calculation (PBE-GGA) on a relaxed Ta2CdBi crystal.

Lattice parameters (Å, degrees): 4.9573 4.9573 4.9573 60.00 60.00 60.00
With the nearest neighbours (Å) after each atom.
Element x y z (fractional)
Ta (0.0000, 0.0000, 0.0000)  4 Bi 3.04, 4 Ta 3.04
Ta (0.2500, 0.2500, 0.2500)  4 Cd 3.04, 4 Ta 3.04
Cd (0.5000, 0.5000, 0.5000)  4 Ta 3.04, 4 Bi 3.04
Bi (0.7500, 0.7500, 0.7500)  4 Cd 3.04, 4 Ta 3.04

ΔH_f (0 K), eV per atom: 0.775
Mass density, g/cm3: 13.2
Space-group type: F-43m

VASP calculation (PBE-GGA) on a relaxed LaAl2Ag3 crystal.

Lattice parameters (Å, degrees): 5.6092 5.6092 4.5722 90.00 90.00 120.96
With the nearest neighbours (Å) after each atom.
Element x y z (fractional)
La (0.0000, 0.0000, 0.0000)  6 Ag 3.17-3.25
Al (0.0000, 0.5000, 0.5000)  2 Al 2.76, 6 Ag 2.77-2.80
Al (0.5000, 0.0000, 0.5000)  2 Al 2.76, 6 Ag 2.77-2.80
Ag (0.3249, 0.6751, 0.0000)  4 Al 2.77, 2 Ag 2.85
Ag (0.5000, 0.5000, 0.5000)  4 Al 2.80, 4 Ag 2.85
Ag (0.6751, 0.3249, 0.0000)  4 Al 2.77, 2 Ag 2.85

ΔH_f (0 K), eV per atom: -0.340
Mass density, g/cm3: 7.0
Space-group type: Cmmm

VASP calculation (PBE-GGA) on a relaxed Sm8Ga21Ru11 crystal.

Lattice parameters (Å, degrees): 11.4256 11.4256 5.6642 90.00 90.00 90.07
With the nearest neighbours (Å) after each atom.
Element x y z (fractional)
Sm (0.0758, 0.7365, 0.2506)  7 Ga 2.99-3.20, 2 Ru 3.21-3.22
Sm (0.2370, 0.4249, 0.2513)  7 Ga 2.96-3.21, 2 Ru 3.22
Sm (0.2635, 0.9242, 0.7494)  7 Ga 2.99-3.20, 2 Ru 3.21-3.22
Sm (0.4249, 0.2370, 0.7487)  7 Ga 2.96-3.21, 2 Ru 3.22
Sm (0.5751, 0.7630, 0.7487)  7 Ga 2.96-3.21, 2 Ru 3.22
Sm (0.7365, 0.0758, 0.7494)  7 Ga 2.99-3.20, 2 Ru 3.21-3.22
Sm (0.7630, 0.5751, 0.2513)  7 Ga 2.96-3.21, 2 Ru 3.22
Sm (0.9242, 0.2635, 0.2506)  7 Ga 2.99-3.20, 2 Ru 3.21-3.22
Ga (0.0000, 0.5000, 0.0054)  4 Ru 2.59, 2 Ga 2.77-2.89
Ga (0.0000, 0.5000, 0.4944)  4 Ru 2.60, 2 Ga 2.77-2.89
Ga (0.0258, 0.8141, 0.7497)  4 Ru 2.56-2.58, 2 Ga 2.75
Ga (0.1799, 0.1799, 0.0000)  2 Ru 2.54, 4 Ga 2.75-2.83
Ga (0.1802, 0.1802, 0.5000)  2 Ru 2.55, 4 Ga 2.75-2.83
Ga (0.1859, 0.9742, 0.2503)  4 Ru 2.56-2.58, 2 Ga 2.75
Ga (0.3112, 0.4736, 0.7417)  3 Ru 2.55-2.57, 3 Ga 2.62-2.81
Ga (0.3163, 0.6837, 0.0000)  2 Ru 2.53, 2 Ga 2.81
Ga (0.3204, 0.6796, 0.5000)  2 Ru 2.56, 4 Ga 2.72-2.83
Ga (0.4736, 0.3112, 0.2583)  3 Ru 2.55-2.57, 3 Ga 2.62-2.81
Ga (0.5000, 0.0000, 0.5056)  4 Ru 2.60, 2 Ga 2.77-2.89
Ga (0.5000, 0.0000, 0.9946)  4 Ru 2.59, 2 Ga 2.77-2.89
Ga (0.5000, 0.5000, 0.0000)  4 Ga 2.62, 2 Ru 2.83
Ga (0.5264, 0.6888, 0.2583)  3 Ru 2.55-2.57, 3 Ga 2.62-2.81
Ga (0.6796, 0.3204, 0.5000)  2 Ru 2.56, 4 Ga 2.72-2.83
Ga (0.6837, 0.3163, 0.0000)  2 Ru 2.53, 2 Ga 2.81
Ga (0.6888, 0.5264, 0.7417)  3 Ru 2.55-2.57, 3 Ga 2.62-2.81
Ga (0.8141, 0.0258, 0.2503)  4 Ru 2.56-2.58, 2 Ga 2.75
Ga (0.8201, 0.8201, 0.0000)  2 Ru 2.54, 4 Ga 2.75-2.83
Ga (0.8198, 0.8198, 0.5000)  2 Ru 2.55, 4 Ga 2.75-2.83
Ga (0.9742, 0.1859, 0.7497)  4 Ru 2.56-2.58, 2 Ga 2.75
Ru (0.0000, 0.0000, 0.0000)  4 Ga 2.57, 2 Ru 2.83
Ru (0.0000, 0.0000, 0.5000)  4 Ga 2.57, 2 Ru 2.83
Ru (0.1214, 0.3556, 0.7511)  6 Ga 2.54-2.60
Ru (0.1435, 0.6219, 0.7512)  6 Ga 2.53-2.60
Ru (0.3556, 0.1214, 0.2489)  6 Ga 2.54-2.60
Ru (0.3781, 0.8565, 0.2488)  6 Ga 2.53-2.60
Ru (0.5000, 0.5000, 0.5000)  6 Ga 2.57-2.83
Ru (0.6219, 0.1435, 0.2488)  6 Ga 2.53-2.60
Ru (0.6444, 0.8786, 0.2489)  6 Ga 2.54-2.60
Ru (0.8565, 0.3781, 0.7512)  6 Ga 2.53-2.60
Ru (0.8786, 0.6444, 0.7511)  6 Ga 2.54-2.60

ΔH_f (0 K), eV per atom: -0.552
Mass density, g/cm3: 8.5
Space-group type: C222

VASP calculation (PBE-GGA) on a relaxed Nd5Ge4 crystal.

Lattice parameters (Å, degrees): 7.9529 15.2377 8.0430 90.00 90.00 90.00
With the nearest neighbours (Å) after each atom.
Element x y z (fractional)
Nd (0.0246, 0.1026, 0.1786)  6 Ge 3.07-3.36
Nd (0.0246, 0.3974, 0.1786)  6 Ge 3.07-3.36
Nd (0.1203, 0.6147, 0.3399)  6 Ge 2.97-3.23
Nd (0.1203, 0.8853, 0.3399)  6 Ge 2.97-3.23
Nd (0.2145, 0.2500, 0.5029)  6 Ge 3.10-3.28
Nd (0.2855, 0.7500, 0.0029)  6 Ge 3.10-3.28
Nd (0.3797, 0.1147, 0.8399)  6 Ge 2.97-3.23
Nd (0.3797, 0.3853, 0.8399)  6 Ge 2.97-3.23
Nd (0.4754, 0.6026, 0.6786)  6 Ge 3.07-3.36
Nd (0.4754, 0.8974, 0.6786)  6 Ge 3.07-3.36
Nd (0.5246, 0.1026, 0.3214)  6 Ge 3.07-3.36
Nd (0.5246, 0.3974, 0.3214)  6 Ge 3.07-3.36
Nd (0.6203, 0.6147, 0.1601)  6 Ge 2.97-3.23
Nd (0.6203, 0.8853, 0.1601)  6 Ge 2.97-3.23
Nd (0.7145, 0.2500, 0.9971)  6 Ge 3.10-3.28
Nd (0.7855, 0.7500, 0.4971)  6 Ge 3.10-3.28
Nd (0.8797, 0.1147, 0.6601)  6 Ge 2.97-3.23
Nd (0.8797, 0.3853, 0.6601)  6 Ge 2.97-3.23
Nd (0.9754, 0.6026, 0.8214)  6 Ge 3.07-3.36
Nd (0.9754, 0.8974, 0.8214)  6 Ge 3.07-3.36
Ge (0.0883, 0.2500, 0.8899)  1 Ge 2.72
Ge (0.1744, 0.7500, 0.6332)  1 Ge 2.72
Ge (0.2219, 0.0449, 0.5322)  6 Nd 2.97-3.24
Ge (0.2219, 0.4551, 0.5322)  6 Nd 2.97-3.24
Ge (0.2781, 0.5449, 0.0322)  6 Nd 2.97-3.24
Ge (0.2781, 0.9551, 0.0322)  6 Nd 2.97-3.24
Ge (0.3256, 0.2500, 0.1332)  1 Ge 2.72
Ge (0.4117, 0.7500, 0.3899)  1 Ge 2.72
Ge (0.5883, 0.2500, 0.6101)  1 Ge 2.72
Ge (0.6744, 0.7500, 0.8668)  1 Ge 2.72
Ge (0.7219, 0.0449, 0.9678)  6 Nd 2.97-3.24
Ge (0.7219, 0.4551, 0.9678)  6 Nd 2.97-3.24
Ge (0.7781, 0.5449, 0.4678)  6 Nd 2.97-3.24
Ge (0.7781, 0.9551, 0.4678)  6 Nd 2.97-3.24
Ge (0.8256, 0.2500, 0.3668)  1 Ge 2.72
Ge (0.9117, 0.7500, 0.1101)  1 Ge 2.72

ΔH_f (0 K), eV per atom: -0.801
Mass density, g/cm3: 6.9
Space-group type: Pnma

VASP calculation (PBE-GGA) on a relaxed Li2MgSi crystal.

Lattice parameters (Å, degrees): 4.5039 4.5039 4.5039 60.00 60.00 60.00
With the nearest neighbours (Å) after each atom.
Element x y z (fractional)
Li (0.0000, 0.0000, 0.0000)  4 Li 2.76, 4 Mg 2.76
Li (0.2500, 0.2500, 0.2500)  4 Li 2.76, 4 Si 2.76
Mg (0.7500, 0.7500, 0.7500)  4 Si 2.76, 4 Li 2.76
Si (0.5000, 0.5000, 0.5000)  4 Li 2.76, 4 Mg 2.76

ΔH_f (0 K), eV per atom: -0.218
Mass density, g/cm3: 1.7
Space-group type: F-43m

VASP calculation (PBE-GGA) on a relaxed Cd2Tc2O7 crystal.

Lattice parameters (Å, degrees): 7.3043 7.3043 7.3043 60.00 60.00 60.00
With the nearest neighbours (Å) after each atom.
Element x y z (fractional)
Cd (0.0000, 0.0000, 0.0000)  2 O 2.24
Cd (0.0000, 0.0000, 0.5000)  2 O 2.24
Cd (0.0000, 0.5000, 0.0000)  2 O 2.24
Cd (0.5000, 0.0000, 0.0000)  2 O 2.24
Tc (0.0000, 0.5000, 0.5000)  6 O 1.96
Tc (0.5000, 0.0000, 0.5000)  6 O 1.96
Tc (0.5000, 0.5000, 0.0000)  6 O 1.96
Tc (0.5000, 0.5000, 0.5000)  6 O 1.96
O (0.1250, 0.1250, 0.1250)  4 Cd 2.24
O (0.1824, 0.1824, 0.5676)  2 Tc 1.96
O (0.1824, 0.5676, 0.1824)  2 Tc 1.96
O (0.1824, 0.5676, 0.5676)  2 Tc 1.96
O (0.4324, 0.4324, 0.8176)  2 Tc 1.96
O (0.4324, 0.8176, 0.4324)  2 Tc 1.96
O (0.4324, 0.8176, 0.8176)  2 Tc 1.96
O (0.5676, 0.1824, 0.1824)  2 Tc 1.96
O (0.5676, 0.1824, 0.5676)  2 Tc 1.96
O (0.5676, 0.5676, 0.1824)  2 Tc 1.96
O (0.8176, 0.4324, 0.4324)  2 Tc 1.96
O (0.8176, 0.4324, 0.8176)  2 Tc 1.96
O (0.8176, 0.8176, 0.4324)  2 Tc 1.96
O (0.8750, 0.8750, 0.8750)  4 Cd 2.24

ΔH_f (0 K), eV per atom: -1.694
Mass density, g/cm3: 6.4
Space-group type: Fd-3m

> Look up the ΔH_f (0 K) of the third one.

-0.552 eV per atom

> Look up the ΔH_f (0 K) of the third one.

-0.552 eV per atom